A plane-wave DFT calculation with GGA+U was carried out for a geometry-optimized LiVOF3 structure.

## Properties
* energy relative to the elements: -2914 meV per atom
* ΔE to the lowest computed polymorph: 0.064 eV/atom
* E: -5.90 eV per atom
* volume: 300 Å³ per cell

extended XYZ file:
```
24
Lattice="5.547 0.000 0.000 0.000 5.547 0.000 0.000 0.000 9.757" Properties=species:S:1:pos:R:3 pbc="T T T"
Li 0.518 4.730 7.344
Li 0.817 0.518 0.027
Li 4.730 5.029 4.905
Li 5.029 0.817 2.466
V 0.761 2.305 4.908
V 2.305 4.786 2.469
V 3.242 0.761 7.347
V 4.786 3.242 0.030
O 0.438 3.705 5.703
O 1.842 0.438 8.142
O 3.705 5.109 3.264
O 5.109 1.842 0.825
F 0.216 4.542 1.173
F 0.711 3.339 8.618
F 1.006 0.216 3.612
F 1.747 3.105 3.356
F 2.208 0.711 1.300
F 2.443 1.747 5.796
F 3.105 3.800 0.917
F 3.339 4.836 6.178
F 3.800 2.443 8.235
F 4.542 5.331 8.490
F 4.836 2.208 3.739
F 5.331 1.006 6.051
```


A plane-wave DFT calculation with GGA+U was carried out for a geometry-optimized LiVOF4 structure.

## Properties
* energy relative to the elements: -2822 meV per atom
* ΔE to the lowest computed polymorph: 0.023 eV/atom
* E: -5.59 eV per atom
* volume: 190 Å³ per cell

extended XYZ file:
```
14
Lattice="1.811 -5.107 0.000 1.811 5.107 0.000 0.000 0.000 10.246" Properties=species:S:1:pos:R:3 pbc="T T T"
Li 1.811 -3.917 5.749
Li 1.811 3.917 0.626
V 1.811 -3.164 2.580
V 1.811 3.164 7.703
O 1.811 -2.034 7.570
O 1.811 2.034 2.447
F 1.811 -1.813 1.192
F 1.811 -1.965 3.922
F 1.811 -4.540 1.348
F 1.811 -4.451 3.881
F 1.811 4.451 9.004
F 1.811 4.540 6.471
F 1.811 1.965 9.045
F 1.811 1.813 6.315
```


A plane-wave DFT calculation with GGA+U was carried out for a geometry-optimized Li2VOF5 structure.

## Properties
* piezoelectric modulus e_max: 4.85 C/m2
* energy relative to the elements: -2908 meV per atom
* E: -5.43 eV per atom
* volume: 126 Å³ per cell

extended XYZ file:
```
9
Lattice="-3.070 3.194 3.208 3.070 -3.194 3.208 3.070 3.194 -3.208" Properties=species:S:1:pos:R:3 pbc="T T T"
Li 1.452 -0.213 3.208
Li 1.618 2.981 0.000
V 0.000 6.381 0.000
O 0.000 4.750 0.000
F 0.000 0.141 1.916
F 0.000 0.141 4.499
F 1.771 0.354 0.000
F 4.370 0.354 0.000
F 0.000 2.100 0.000
```


A plane-wave DFT calculation with GGA+U was carried out for a geometry-optimized Li2WO2F4 structure.

## Properties
* energy relative to the elements: -2784 meV per atom
* E: -5.75 eV per atom
* volume: 423 Å³ per cell

extended XYZ file:
```
36
Lattice="-3.120 -1.165 -3.400 -3.483 -1.078 3.567 -5.611 16.477 -0.498" Properties=species:S:1:pos:R:3 pbc="T T T"
Li -3.916 3.019 2.559
Li -3.394 7.141 0.668
Li -5.700 8.258 2.401
Li -5.178 12.380 0.509
Li -3.933 3.559 -0.942
Li -7.760 14.796 -1.281
Li -4.455 -0.563 0.950
Li -8.282 10.674 0.610
W -1.474 1.501 0.838
W -7.620 13.897 2.230
W -6.375 5.076 0.780
W -5.840 9.157 -1.111
O -1.375 0.326 -0.495
O -8.234 14.814 0.834
O -5.448 6.568 1.062
O -4.200 8.557 -0.765
O -6.766 7.665 -1.394
O -8.014 5.676 0.433
O -3.980 -0.581 -1.166
O -10.839 13.907 0.163
F -2.116 2.970 -0.488
F -7.210 12.273 0.997
F -5.830 14.056 -0.975
F -3.383 1.216 1.181
F -6.337 9.399 0.770
F -3.173 5.762 -0.887
F -5.159 11.119 -0.996
F -4.641 3.946 0.988
F -7.056 3.114 0.665
F -7.574 10.287 -1.319
F -5.878 4.834 -1.101
F -9.042 8.471 0.556
F -6.385 0.177 0.643
F -8.832 13.017 -1.512
F -10.099 11.263 0.157
F -5.005 1.960 -1.329
```


A plane-wave DFT calculation with GGA+U was carried out for a geometry-optimized Rb2LiVF6 structure.

## Properties
* energy relative to the elements: -3094 meV per atom
* E: -5.09 eV per atom
* volume: 145 Å³ per cell

extended XYZ file:
```
10
Lattice="-2.366 -4.377 -3.171 3.330 -4.585 -1.644 -0.852 -5.296 2.457" Properties=species:S:1:pos:R:3 pbc="T T T"
Rb 0.028 -3.565 -0.590
Rb 0.084 -10.694 -1.769
Li 0.056 -7.129 -1.179
V 0.000 0.000 0.000
F 1.778 -5.791 -1.424
F 0.534 -8.093 -3.092
F -1.666 -8.468 -0.935
F -1.218 -5.681 -2.227
F 1.330 -8.577 -0.131
F -0.422 -6.165 0.734
```


A plane-wave DFT calculation with GGA+U was carried out for a geometry-optimized Li2VF4 structure.

## Properties
* energy relative to the elements: -3028 meV per atom
* ΔE to the lowest computed polymorph: 0.048 eV/atom
* E: -5.46 eV per atom
* volume: 551 Å³ per cell

extended XYZ file:
```
42
Lattice="5.166 -7.215 0.000 5.166 7.215 0.000 -4.911 0.000 7.391" Properties=species:S:1:pos:R:3 pbc="T T T"
Li 3.490 -6.413 2.143
Li -0.676 -4.546 7.161
Li 2.684 -3.030 2.561
Li 8.281 -1.867 0.591
Li 1.407 -2.077 5.806
Li 5.639 -0.953 2.702
Li -0.217 0.953 4.689
Li 4.014 2.077 1.585
Li -2.859 1.867 6.800
Li 2.737 3.030 4.830
Li 6.098 4.546 0.230
Li 1.931 6.413 5.248
V 1.134 -4.931 4.012
V 5.967 -3.729 2.147
V -0.920 -1.203 7.199
V 6.341 1.203 0.192
V -0.546 3.729 5.244
V 4.287 4.931 3.380
F 0.684 -4.933 6.012
F 6.917 2.358 1.977
F 4.549 -5.068 1.517
F 2.189 4.997 2.711
F 4.473 -2.570 3.249
F 2.603 -2.259 0.920
F 3.121 -2.476 6.249
F 5.483 -2.639 0.295
F 1.192 -2.745 3.963
F 4.781 0.175 1.331
F -2.341 0.135 6.571
F 6.277 0.217 3.935
F -0.855 -0.217 3.456
F 7.763 -0.135 0.820
F 0.640 -0.175 6.060
F 4.229 2.745 3.428
F -0.062 2.639 7.096
F 2.300 2.476 1.142
F 2.818 2.259 6.471
F 0.948 2.570 4.142
F 3.232 -4.997 4.680
F 0.873 5.068 5.874
F -1.496 -2.358 5.414
F 4.737 4.933 1.379
```